# 1
DFT (PBE) results for a geometry-optimized Tm4Zr3O12 structure.

- Volume: 13.19 Å³/atom
- Distance to the lowest polymorph of the same formula: 0 meV per atom
- Energy: -0.3295 hartree per atom

Lattice parameters (Å, degrees): 6.3251 6.3594 6.5233 99.85 98.78 99.47
Last column: nearest neighbours and their distance in Å.
Element x y z (fractional)
1 Tm 0.1106 0.3009 0.1348  7 O 2.20-2.46
2 Tm 0.1933 0.8649 0.3899  6 O 2.20-2.37
3 Tm 0.8067 0.1351 0.6101  6 O 2.20-2.37
4 Tm 0.8894 0.6991 0.8652  7 O 2.20-2.46
5 Zr 0.3487 0.3955 0.6724  6 O 2.08-2.24
6 Zr 0.5000 0.0000 0.0000  6 O 2.09-2.18
7 Zr 0.6513 0.6045 0.3276  6 O 2.08-2.24
8 O 0.0833 0.1860 0.4309  1 Zr 2.19, 3 Tm 2.20-2.26
9 O 0.0838 0.4184 0.8220  1 Zr 2.08, 1 Tm 2.28
10 O 0.1833 0.9298 0.0615  1 Zr 2.09, 2 Tm 2.23-2.24
11 O 0.3251 0.5717 0.4257  2 Zr 2.11-2.24, 1 Tm 2.20
12 O 0.4185 0.0806 0.6893  2 Zr 2.14-2.18, 1 Tm 2.31
13 O 0.4667 0.3227 0.1105  2 Zr 2.11-2.13, 1 Tm 2.27
14 O 0.5333 0.6773 0.8895  2 Zr 2.11-2.13, 1 Tm 2.27
15 O 0.5815 0.9194 0.3107  2 Zr 2.14-2.18, 1 Tm 2.31
16 O 0.6749 0.4283 0.5743  2 Zr 2.11-2.24, 1 Tm 2.20
17 O 0.8167 0.0702 0.9385  1 Zr 2.09, 2 Tm 2.23-2.24
18 O 0.9162 0.5816 0.1780  1 Zr 2.08, 1 Tm 2.28
19 O 0.9167 0.8140 0.5691  1 Zr 2.19, 3 Tm 2.20-2.26



# 2
DFT (PBE) results for a geometry-optimized Tm2Zr8O19 structure.

- Spin magnetization: 0.000 μB/atom
- Volume: 11.67 Å³/atom
- Energy: -0.3390 hartree per atom

Lattice parameters (Å, degrees): 3.6333 3.6333 25.6402 90.00 90.00 90.00
Last column: nearest neighbours and their distance in Å.
Element x y z (fractional)
1 Tm 0.0000 0.5000 0.0558  6 O 2.09-2.31
2 Tm 0.5000 0.0000 0.9442  6 O 2.09-2.31
3 Zr 0.0000 0.5000 0.2511  8 O 2.15-2.30
4 Zr 0.0000 0.5000 0.4502  8 O 2.19-2.25
5 Zr 0.0000 0.5000 0.6494  8 O 2.17-2.28
6 Zr 0.0000 0.5000 0.8486  8 O 2.14-2.31
7 Zr 0.5000 0.0000 0.1514  8 O 2.14-2.31
8 Zr 0.5000 0.0000 0.3506  8 O 2.17-2.28
9 Zr 0.5000 0.0000 0.5498  8 O 2.19-2.25
10 Zr 0.5000 0.0000 0.7489  8 O 2.15-2.30
11 O 0.0000 0.0000 0.0000  4 Tm 2.31
12 O 0.0000 0.0000 0.1075  2 Zr 2.14, 2 Tm 2.25
13 O 0.0000 0.0000 0.2064  4 Zr 2.15-2.30
14 O 0.0000 0.0000 0.3047  4 Zr 2.17-2.28
15 O 0.0000 0.0000 0.4024  4 Zr 2.19-2.25
16 O 0.0000 0.0000 0.5000  4 Zr 2.22
17 O 0.0000 0.0000 0.5976  4 Zr 2.19-2.25
18 O 0.0000 0.0000 0.6953  4 Zr 2.17-2.28
19 O 0.0000 0.0000 0.7936  4 Zr 2.15-2.30
20 O 0.0000 0.0000 0.8925  2 Zr 2.14, 2 Tm 2.25
21 O 0.5000 0.5000 0.0959  2 Tm 2.09, 2 Zr 2.31
22 O 0.5000 0.5000 0.1959  4 Zr 2.15-2.30
23 O 0.5000 0.5000 0.2967  4 Zr 2.16-2.28
24 O 0.5000 0.5000 0.3981  4 Zr 2.19-2.25
25 O 0.5000 0.5000 0.5000  4 Zr 2.22
26 O 0.5000 0.5000 0.6019  4 Zr 2.19-2.25
27 O 0.5000 0.5000 0.7033  4 Zr 2.16-2.28
28 O 0.5000 0.5000 0.8041  4 Zr 2.15-2.30
29 O 0.5000 0.5000 0.9041  2 Tm 2.09, 2 Zr 2.31



# 3
DFT (PBE) results for a geometry-optimized Tm2Zr2O7 structure.

- Spin magnetization: 0.000 μB/atom
- Volume: 13.18 Å³/atom
- Energy: -0.3285 hartree per atom

Lattice parameters (Å, degrees): 7.4287 7.4287 7.4287 60.00 60.00 60.00
Last column: nearest neighbours and their distance in Å.
Element x y z (fractional)
1 Tm 0.0000 0.0000 0.0000  8 O 2.27-2.48
2 Tm 0.0000 0.0000 0.5000  8 O 2.27-2.48
3 Tm 0.0000 0.5000 0.0000  8 O 2.27-2.48
4 Tm 0.5000 0.0000 0.0000  8 O 2.27-2.48
5 Zr 0.0000 0.5000 0.5000  6 O 2.10
6 Zr 0.5000 0.0000 0.5000  6 O 2.10
7 Zr 0.5000 0.5000 0.0000  6 O 2.10
8 Zr 0.5000 0.5000 0.5000  6 O 2.10
9 O 0.1250 0.1250 0.1250  4 Tm 2.27
10 O 0.1561 0.1561 0.5939  2 Zr 2.10
11 O 0.1561 0.5939 0.1561  2 Zr 2.10
12 O 0.1561 0.5939 0.5939  2 Zr 2.10
13 O 0.4061 0.4061 0.8439  2 Zr 2.10
14 O 0.4061 0.8439 0.4061  2 Zr 2.10
15 O 0.4061 0.8439 0.8439  2 Zr 2.10
16 O 0.5939 0.1561 0.1561  2 Zr 2.10
17 O 0.5939 0.1561 0.5939  2 Zr 2.10
18 O 0.5939 0.5939 0.1561  2 Zr 2.10
19 O 0.8439 0.4061 0.4061  2 Zr 2.10
20 O 0.8439 0.4061 0.8439  2 Zr 2.10
21 O 0.8439 0.8439 0.4061  2 Zr 2.10
22 O 0.8750 0.8750 0.8750  4 Tm 2.27



Formation enthalpy at 0 K (computed, eV/f.u.): -75.70, -109.21, -42.46